This record from Materials Project describes an optimized crystal structure of V3S5. The functional is r²SCAN.

Cell lengths 5.7897, 6.6590, 8.1384 Å; angles 108.21, 110.16, 91.01 degrees
Space group P-1 (No. 2)
One atom of each set of equivalent atoms:
V 0.0000 0.0000 0.0000 [1 per cell]
V 0.1143 0.7157 0.2305 [2 per cell]
V 0.3189 0.1222 0.6177 [2 per cell]
V 0.5000 0.5000 0.0000 [1 per cell]
S 0.0142 0.9506 0.6896 [2 per cell]
S 0.1891 0.4500 0.6996 [2 per cell]
S 0.2041 0.3587 0.0918 [2 per cell]
S 0.3811 0.8489 0.1016 [2 per cell]
S 0.4178 0.7530 0.5047 [2 per cell]

Results
Its total energy is -91.28 eV/f.u. The calculated density is 3.8 g/cm3. For the energy relative to the elements, the calculation gives -8.84 eV/f.u.

This record from Materials Project describes an optimized crystal structure of Tb2Ti2O7. The functional is r²SCAN.

Cell lengths 7.5025, 5.3322, 13.0737 Å; angles 90.00, 98.37, 90.00 degrees
Space group P2_1 (No. 4)
One atom of each set of equivalent atoms:
Tb 0.1423 0.0000 0.0646 [2 per cell]
Tb 0.2330 0.5886 0.4217 [2 per cell]
Tb 0.2845 0.1111 0.6308 [2 per cell]
Tb 0.3541 0.5767 0.8857 [2 per cell]
Ti 0.0302 0.5916 0.6212 [2 per cell]
Ti 0.0720 0.0740 0.8205 [2 per cell]
Ti 0.4108 0.5637 0.1733 [2 per cell]
Ti 0.4699 0.0920 0.3750 [2 per cell]
O 0.0110 0.9219 0.6795 [2 per cell]
O 0.0564 0.3189 0.5235 [2 per cell]
O 0.0748 0.7958 0.9074 [2 per cell]
O 0.1269 0.4023 0.7318 [2 per cell]
O 0.1386 0.2906 0.9312 [2 per cell]
O 0.1724 0.6816 0.1871 [2 per cell]
O 0.2218 0.0140 0.3855 [2 per cell]
O 0.2725 0.7011 0.5909 [2 per cell]
O 0.3265 0.9817 0.8046 [2 per cell]
O 0.3669 0.2627 0.1170 [2 per cell]
O 0.4126 0.7680 0.0538 [2 per cell]
O 0.4241 0.4250 0.3221 [2 per cell]
O 0.4561 0.3219 0.5253 [2 per cell]
O 0.4875 0.4017 0.7347 [2 per cell]

Results
Its total energy is -170.55 eV/f.u. The calculated density is 6.7 g/cm3. For the energy relative to the elements, the calculation gives -40.41 eV/f.u.

This record from Materials Project describes an optimized crystal structure of RbW3O9. The functional is r²SCAN.

Cell lengths 7.4074, 7.4074, 7.6441 Å; angles 90.00, 90.00, 120.00 degrees
Space group P3 (No. 143)
One atom of each set of equivalent atoms:
Rb 0.0000 0.0000 0.0000 [1 per cell]
Rb 0.0000 0.0000 0.4995 [1 per cell]
W 0.0000 0.4987 0.2456 [3 per cell]
W 0.0000 0.5058 0.7457 [3 per cell]
O 0.0009 0.5024 0.4956 [3 per cell]
O 0.2092 0.4215 0.7462 [3 per cell]
O 0.2106 0.4216 0.2451 [3 per cell]
O 0.4215 0.2092 0.7450 [3 per cell]
O 0.4216 0.2106 0.2462 [3 per cell]
O 0.4985 0.4976 0.9956 [3 per cell]

Results
Its total energy is -252.44 eV/f.u. The calculated density is 7.1 g/cm3. For the energy relative to the elements, the calculation gives -30.65 eV/f.u.

This record from Materials Project describes an optimized crystal structure of UPSe. The functional is r²SCAN.

Cell lengths 3.8926, 3.8926, 8.5911 Å; angles 90.00, 90.00, 90.00 degrees
Space group P4/nmm (No. 129, origin choice 2)
One atom of each set of equivalent atoms:
U 0.2500 0.2500 0.2452 [2 per cell]
P 0.2500 0.7500 0.5000 [2 per cell]
Se 0.2500 0.2500 0.8706 [2 per cell]

Results
Its total energy is -107.18 eV/f.u. The calculated density is 8.9 g/cm3. For the energy relative to the elements, the calculation gives -3.93 eV/f.u.

This record from Materials Project describes an optimized crystal structure of V4O3F9. The functional is r²SCAN.

Cell lengths 5.0868, 5.2915, 8.8772 Å; angles 72.69, 88.82, 61.44 degrees
Space group P1 (No. 1)
One atom of each set of equivalent atoms:
V 0.0000 0.0000 0.0000 [1 per cell]
V 0.2428 0.4987 0.7432 [1 per cell]
V 0.5119 0.0349 0.4748 [1 per cell]
V 0.7561 0.5167 0.2381 [1 per cell]
O 0.1024 0.2768 0.8268 [1 per cell]
O 0.5834 0.2627 0.3258 [1 per cell]
O 0.9229 0.7709 0.1463 [1 per cell]
F 0.0189 0.8054 0.8439 [1 per cell]
F 0.0732 0.2712 0.4163 [1 per cell]
F 0.4256 0.7662 0.6493 [1 per cell]
F 0.4377 0.7600 0.0612 [1 per cell]
F 0.4978 0.2485 0.6214 [1 per cell]
F 0.5192 0.7720 0.3580 [1 per cell]
F 0.5827 0.3042 0.9123 [1 per cell]
F 0.9387 0.7484 0.5560 [1 per cell]
F 0.9952 0.2562 0.1210 [1 per cell]

Results
The energy above the most stable polymorph in this dataset is 0.0158 eV per atom. Its total energy is -150.87 eV/f.u. The calculated density is 3.5 g/cm3. For the energy relative to the elements, the calculation gives -48.46 eV/f.u.

This record from Materials Project describes an optimized crystal structure of Tl3SbS4. The functional is r²SCAN.

Cell lengths 6.3524, 6.4800, 11.8706 Å; angles 94.72, 98.78, 104.27 degrees
Space group P1 (No. 1)
One atom of each set of equivalent atoms:
Tl 0.0000 0.0000 0.0000 [1 per cell]
Tl 0.0491 0.9852 0.4715 [1 per cell]
Tl 0.4619 0.4792 0.5066 [1 per cell]
Tl 0.5127 0.4667 0.9785 [1 per cell]
Tl 0.7164 0.1756 0.7024 [1 per cell]
Tl 0.7955 0.2903 0.2761 [1 per cell]
Sb 0.1894 0.7142 0.7436 [1 per cell]
Sb 0.3225 0.7508 0.2346 [1 per cell]
S 0.0327 0.5361 0.8877 [1 per cell]
S 0.1867 0.0760 0.7598 [1 per cell]
S 0.3249 0.3890 0.2184 [1 per cell]
S 0.4796 0.9295 0.0907 [1 per cell]
S 0.5155 0.9184 0.4195 [1 per cell]
S 0.5574 0.6956 0.7600 [1 per cell]
S 0.9543 0.7694 0.2180 [1 per cell]
S 0.9962 0.5458 0.5588 [1 per cell]

Results
Its total energy is -220.44 eV/f.u. The calculated density is 6.2 g/cm3. For the energy relative to the elements, the calculation gives -3.06 eV/f.u.